1.
Below is an optimized crystal structure of Ba3Gd2P4S16, with properties calculated at the PBE-GGA level.

Properties
Formation energy   -1.494 eV per atom
Electronic total energy   -6.042 eV per atom

abc: 10.424 12.822 19.387
angles: 89.98 90.06 89.97
Element x y z (fractional)
Ba 0.789 0.110 0.228
S 0.295 0.113 0.693
S 0.567 0.731 0.847
S 0.506 0.486 0.831
S 0.994 0.515 0.331
S 0.819 0.668 0.431
S 0.118 0.105 0.850
Ba 0.881 0.750 0.000
Gd 0.871 0.613 0.574
Gd 0.371 0.887 0.074
S 0.205 0.887 0.193
P 0.496 0.139 0.103
S 0.705 0.887 0.307
S 0.118 0.395 0.150
Gd 0.629 0.113 0.926
S 0.383 0.086 0.532
S 0.006 0.485 0.669
S 0.382 0.895 0.350
P 0.939 0.452 0.131
S 0.567 0.769 0.153
Gd 0.129 0.113 0.574
S 0.319 0.668 0.069
P 0.561 0.952 0.369
S 0.882 0.895 0.150
S 0.112 0.600 0.483
Ba 0.289 0.110 0.272
Ba 0.211 0.890 0.772
Ba 0.211 0.610 0.228
S 0.383 0.414 0.468
Ba 0.289 0.390 0.728
S 0.319 0.832 0.931
S 0.388 0.100 0.017
S 0.181 0.168 0.431
S 0.432 0.888 0.646
S 0.068 0.112 0.146
P 0.496 0.361 0.897
P 0.561 0.548 0.631
Ba 0.119 0.250 0.000
Gd 0.129 0.387 0.426
S 0.795 0.387 0.193
S 0.883 0.086 0.968
S 0.932 0.612 0.146
S 0.295 0.387 0.307
S 0.819 0.832 0.569
P 0.004 0.639 0.397
S 0.994 0.986 0.669
P 0.439 0.048 0.631
S 0.618 0.105 0.650
S 0.568 0.388 0.646
P 0.004 0.861 0.603
P 0.504 0.639 0.103
S 0.568 0.112 0.354
S 0.006 0.015 0.331
S 0.883 0.414 0.032
Gd 0.371 0.613 0.926
S 0.433 0.269 0.153
P 0.061 0.952 0.131
S 0.932 0.888 0.854
S 0.432 0.612 0.354
S 0.612 0.600 0.017
S 0.067 0.769 0.347
Ba 0.789 0.390 0.772
Gd 0.629 0.387 0.074
S 0.382 0.605 0.650
S 0.705 0.613 0.693
S 0.117 0.586 0.968
S 0.117 0.914 0.032
S 0.681 0.332 0.931
Ba 0.711 0.610 0.272
S 0.068 0.388 0.854
P 0.504 0.861 0.897
S 0.617 0.586 0.532
P 0.939 0.048 0.869
S 0.681 0.168 0.069
S 0.933 0.231 0.653
P 0.060 0.548 0.869
S 0.494 0.985 0.831
Ba 0.381 0.750 0.500
S 0.612 0.900 0.983
S 0.888 0.100 0.483
Ba 0.711 0.890 0.728
P 0.996 0.139 0.397
S 0.933 0.269 0.347
S 0.205 0.613 0.807
S 0.112 0.900 0.517
S 0.617 0.914 0.468
S 0.181 0.332 0.569
P 0.996 0.361 0.603
Ba 0.619 0.250 0.500
Gd 0.871 0.887 0.426
S 0.067 0.731 0.653
S 0.506 0.015 0.169
S 0.618 0.395 0.350
P 0.439 0.452 0.369
S 0.494 0.515 0.169
S 0.882 0.605 0.850
S 0.433 0.231 0.847
S 0.388 0.400 0.983
S 0.888 0.400 0.517
S 0.795 0.113 0.807

=====

2.
Below is an optimized crystal structure of SiC, with properties calculated at the PBE-GGA level.

Properties
Formation energy   -0.203 eV per atom
Energy above the lowest structure with this stoichiometry   0.00 eV per formula unit
Electronic total energy   -7.530 eV per atom

abc: 3.095 3.095 53.137
angles: 90.00 90.00 120.00
Element x y z (fractional)
C 0.667 0.333 0.083
C 0.000 0.000 0.702
Si 0.667 0.333 0.333
Si 0.667 0.333 0.619
Si 0.667 0.333 0.048
C 0.667 0.333 0.988
C 0.000 0.000 0.940
C 0.333 0.667 0.750
C 0.000 0.000 0.417
C 0.333 0.667 0.322
Si 0.667 0.333 0.952
C 0.667 0.333 0.559
C 0.667 0.333 0.369
C 0.667 0.333 0.655
Si 0.000 0.000 0.190
Si 0.000 0.000 0.667
C 0.000 0.000 0.845
Si 0.000 0.000 0.905
C 0.333 0.667 0.179
Si 0.333 0.667 0.143
C 0.000 0.000 0.226
Si 0.333 0.667 0.714
Si 0.333 0.667 0.857
C 0.000 0.000 0.131
C 0.333 0.667 0.893
Si 0.333 0.667 0.000
Si 0.000 0.000 0.381
Si 0.333 0.667 0.286
C 0.000 0.000 0.512
C 0.333 0.667 0.464
Si 0.000 0.000 0.095
C 0.333 0.667 0.607
C 0.667 0.333 0.274
Si 0.667 0.333 0.524
Si 0.667 0.333 0.238
Si 0.333 0.667 0.429
Si 0.667 0.333 0.762
C 0.667 0.333 0.798
C 0.333 0.667 0.036
Si 0.000 0.000 0.809
Si 0.333 0.667 0.571
Si 0.000 0.000 0.476

=====

3.
Below is an optimized crystal structure of Mg3NF3, with properties calculated at the PBE-GGA level.

Properties
Formation energy   -2.738 eV per atom
Electronic total energy   -5.237 eV per atom

abc: 4.261 4.261 4.261
angles: 90.00 90.00 90.00
Element x y z (fractional)
Mg 0.000 0.500 0.500
F 0.500 0.000 0.000
F 0.000 0.000 0.500
Mg 0.500 0.000 0.500
F 0.000 0.500 0.000
N 0.500 0.500 0.500
Mg 0.500 0.500 0.000

=====

4.
Below is an optimized crystal structure of GdSi3Ni8, with properties calculated at the PBE-GGA level.

Properties
Formation energy   -0.569 eV per atom
Electronic total energy   -6.952 eV per atom

abc: 7.541 7.541 7.491
angles: 80.28 80.28 130.40
Element x y z (fractional)
Ni 0.149 0.567 0.170
Ni 0.851 0.433 0.830
Ni 0.877 0.123 0.750
Si 0.814 0.723 0.826
Ni 0.197 0.861 0.579
Si 0.000 0.500 0.500
Ni 0.567 0.149 0.670
Si 0.723 0.814 0.326
Gd 0.369 0.631 0.750
Ni 0.123 0.877 0.250
Ni 0.139 0.803 0.921
Ni 0.000 0.000 0.500
Ni 0.561 0.711 0.070
Ni 0.433 0.851 0.330
Ni 0.803 0.139 0.421
Ni 0.000 0.000 0.000
Si 0.500 0.000 0.000
Si 0.277 0.186 0.674
Gd 0.631 0.369 0.250
Si 0.186 0.277 0.174
Ni 0.711 0.561 0.570
Ni 0.439 0.289 0.930
Ni 0.861 0.197 0.079
Ni 0.289 0.439 0.430